[1]
# V3O2F5 (PBE with a Hubbard U, optimized geometry)
# Energy relative to the lowest polymorph listed for this composition   0 meV per atom
# Total magnetic moment   12.00 μB per cell
# Total DFT energy (no corrections)   -134.1 eV for the cell shown
# DFT formation energy   -2.910 eV/atom
# Mass density   2.79 g/cm3
data_V3O2F5
_cell_length_a 6.428
_cell_length_b 7.542
_cell_length_c 8.479
_cell_angle_alpha 116.41
_cell_angle_beta 112.27
_cell_angle_gamma 90.00
_space_group_name_H-M_alt 'P 1'
_space_group_IT_number 1
loop_
_space_group_symop_operation_xyz
'x,y,z'
loop_
_atom_site_label
_atom_site_fract_x
_atom_site_fract_y
_atom_site_fract_z
F1 0.852 0.577 0.703
F2 0.192 0.000 0.000
F3 0.665 0.892 0.331
F4 0.335 0.108 0.669
F5 0.335 0.561 0.669
F6 0.808 0.000 0.000
F7 0.148 0.873 0.297
F8 0.665 0.439 0.331
F9 0.148 0.423 0.297
F10 0.852 0.127 0.703
V1 0.000 0.000 0.500
V2 0.000 0.500 0.500
V3 0.116 0.116 0.232
V4 0.500 0.000 0.500
V5 0.500 0.500 0.500
V6 0.884 0.884 0.768
O1 0.567 0.788 0.576
O2 0.433 0.212 0.424
O3 0.009 0.788 0.576
O4 0.991 0.212 0.424

=====

[2]
# MgFe6O6F6 (PBE with a Hubbard U, optimized geometry)
# Energy relative to the lowest polymorph listed for this composition   35 meV per atom
# Total magnetic moment   28.00 μB per cell
# Total DFT energy (no corrections)   -113.2 eV for the cell shown
# DFT formation energy   -2.109 eV/atom
# Mass density   3.99 g/cm3
data_MgFe6O6F6
_cell_length_a 7.475
_cell_length_b 15.175
_cell_length_c 3.087
_cell_angle_alpha 90.00
_cell_angle_beta 90.00
_cell_angle_gamma 137.37
_space_group_name_H-M_alt 'P 1'
_space_group_IT_number 1
loop_
_space_group_symop_operation_xyz
'x,y,z'
loop_
_atom_site_label
_atom_site_fract_x
_atom_site_fract_y
_atom_site_fract_z
F1 0.697 0.462 0.000
F2 0.680 0.159 0.000
F3 0.151 0.988 0.500
F4 0.805 0.647 0.500
F5 0.867 0.353 0.500
F6 0.679 0.804 0.000
O1 0.263 0.852 0.000
O2 0.183 0.664 0.500
O3 0.850 0.020 0.500
O4 0.329 0.553 0.000
O5 0.190 0.336 0.500
O6 0.365 0.195 0.000
Fe1 0.485 0.932 0.500
Fe2 0.009 0.666 0.000
Fe3 0.427 0.659 0.500
Fe4 0.091 0.367 0.000
Fe5 0.997 0.015 0.000
Fe6 0.442 0.326 0.500
Mg1 0.517 0.167 0.500

=====

[3]
# LiCo3O6 (PBE with a Hubbard U, optimized geometry)
# Energy relative to the lowest polymorph listed for this composition   18 meV per atom
# Total magnetic moment   4.00 μB per cell
# Total DFT energy (no corrections)   -114.9 eV for the cell shown
# DFT formation energy   -1.357 eV/atom
# Mass density   4.43 g/cm3
data_LiCo3O6
_cell_length_a 4.949
_cell_length_b 6.603
_cell_length_c 6.604
_cell_angle_alpha 79.67
_cell_angle_beta 83.29
_cell_angle_gamma 83.28
_space_group_name_H-M_alt 'P 1'
_space_group_IT_number 1
loop_
_space_group_symop_operation_xyz
'x,y,z'
loop_
_atom_site_label
_atom_site_fract_x
_atom_site_fract_y
_atom_site_fract_z
O1 0.382 0.177 0.510
O2 0.394 0.513 0.178
O3 0.612 0.149 0.157
O4 0.651 0.479 0.812
O5 0.106 0.654 0.656
O6 0.849 0.688 0.021
O7 0.106 0.322 0.987
O8 0.118 0.990 0.323
O9 0.888 0.018 0.676
O10 0.394 0.844 0.846
O11 0.888 0.343 0.351
O12 0.612 0.823 0.482
Co1 0.750 0.750 0.750
Co2 0.250 0.583 0.917
Co3 0.250 0.250 0.250
Co4 0.750 0.083 0.417
Co5 0.750 0.417 0.083
Co6 0.250 0.916 0.584
Li1 0.991 0.334 0.667
Li2 0.509 0.833 0.166

=====

[4]
# MgMn6O6F6 (PBE with a Hubbard U, optimized geometry)
# Energy relative to the lowest polymorph listed for this composition   79 meV per atom
# Total magnetic moment   26.00 μB per cell
# Total DFT energy (no corrections)   -126.1 eV for the cell shown
# DFT formation energy   -2.382 eV/atom
# Mass density   4.03 g/cm3
data_MgMn6O6F6
_cell_length_a 5.082
_cell_length_b 4.919
_cell_length_c 9.297
_cell_angle_alpha 89.08
_cell_angle_beta 92.85
_cell_angle_gamma 90.45
_space_group_name_H-M_alt 'P 1'
_space_group_IT_number 1
loop_
_space_group_symop_operation_xyz
'x,y,z'
loop_
_atom_site_label
_atom_site_fract_x
_atom_site_fract_y
_atom_site_fract_z
Mn1 0.469 0.526 0.493
Mn2 0.544 0.462 0.177
Mn3 0.973 0.927 0.995
Mn4 0.063 0.009 0.654
Mn5 0.474 0.522 0.818
Mn6 0.022 0.036 0.331
O1 0.776 0.131 0.148
O2 0.220 0.835 0.483
O3 0.222 0.832 0.842
O4 0.315 0.330 0.333
O5 0.301 0.354 0.654
O6 0.677 0.649 0.992
F1 0.806 0.210 0.500
F2 0.710 0.168 0.845
F3 0.706 0.701 0.654
F4 0.721 0.694 0.344
F5 0.264 0.819 0.153
F6 0.254 0.301 0.000
Mg1 0.483 0.994 0.999

=====

[5]
# Li4Ni3BiO8 (PBE with a Hubbard U, optimized geometry)
# Energy relative to the lowest polymorph listed for this composition   3 meV per atom
# Total magnetic moment   10.00 μB per cell
# Total DFT energy (no corrections)   -162.2 eV for the cell shown
# DFT formation energy   -1.612 eV/atom
# Mass density   5.69 g/cm3
data_Li4Ni3BiO8
_cell_length_a 6.044
_cell_length_b 10.536
_cell_length_c 6.044
_cell_angle_alpha 89.94
_cell_angle_beta 119.61
_cell_angle_gamma 73.19
_space_group_name_H-M_alt 'P 1'
_space_group_IT_number 1
loop_
_space_group_symop_operation_xyz
'x,y,z'
loop_
_atom_site_label
_atom_site_fract_x
_atom_site_fract_y
_atom_site_fract_z
Li1 0.000 0.750 0.250
Li2 0.501 0.999 0.002
Li3 0.500 0.750 0.749
Li4 0.501 0.500 0.501
Li5 0.500 0.251 0.249
Li6 0.000 0.500 0.000
Li7 0.999 0.251 0.751
Li8 0.999 0.999 0.500
Bi1 0.000 0.000 0.000
Bi2 0.000 0.500 0.500
O1 0.251 0.123 0.131
O2 0.269 0.123 0.607
O3 0.729 0.877 0.393
O4 0.248 0.371 0.381
O5 0.747 0.123 0.626
O6 0.748 0.378 0.369
O7 0.248 0.871 0.881
O8 0.752 0.129 0.119
O9 0.729 0.377 0.893
O10 0.270 0.623 0.107
O11 0.251 0.622 0.631
O12 0.254 0.878 0.374
O13 0.254 0.378 0.874
O14 0.752 0.629 0.619
O15 0.749 0.878 0.869
O16 0.747 0.622 0.126
Ni1 0.000 0.250 0.250
Ni2 0.000 0.750 0.750
Ni3 0.500 0.250 0.750
Ni4 0.500 0.001 0.500
Ni5 0.501 0.750 0.250
Ni6 0.500 0.500 0.000

=====

[6]
# Li3VB2O6 (PBE with a Hubbard U, optimized geometry)
# Energy relative to the lowest polymorph listed for this composition   40 meV per atom
# Total magnetic moment   8.00 μB per cell
# Total DFT energy (no corrections)   -332.4 eV for the cell shown
# DFT formation energy   -2.589 eV/atom
# Mass density   2.78 g/cm3
data_Li3VB2O6
_cell_length_a 7.753
_cell_length_b 6.048
_cell_length_c 10.936
_cell_angle_alpha 62.08
_cell_angle_beta 90.00
_cell_angle_gamma 90.00
_space_group_name_H-M_alt 'P 1'
_space_group_IT_number 1
loop_
_space_group_symop_operation_xyz
'x,y,z'
loop_
_atom_site_label
_atom_site_fract_x
_atom_site_fract_y
_atom_site_fract_z
B1 0.590 0.634 0.125
B2 0.910 0.634 0.625
B3 0.943 0.194 0.112
B4 0.090 0.366 0.375
B5 0.557 0.194 0.612
B6 0.057 0.806 0.888
B7 0.443 0.806 0.388
B8 0.410 0.366 0.875
O1 0.452 0.614 0.794
O2 0.619 0.120 0.744
O3 0.613 0.852 0.400
O4 0.381 0.880 0.256
O5 0.048 0.614 0.294
O6 0.113 0.148 0.100
O7 0.823 0.276 0.007
O8 0.707 0.759 0.169
O9 0.177 0.724 0.993
O10 0.881 0.120 0.244
O11 0.293 0.241 0.831
O12 0.887 0.852 0.900
O13 0.387 0.148 0.600
O14 0.323 0.724 0.493
O15 0.548 0.386 0.206
O16 0.793 0.759 0.669
O17 0.952 0.386 0.706
O18 0.018 0.230 0.504
O19 0.207 0.241 0.331
O20 0.119 0.880 0.756
O21 0.518 0.770 0.996
O22 0.982 0.770 0.496
O23 0.677 0.276 0.507
O24 0.482 0.230 0.004
Li1 0.206 0.395 0.626
Li2 0.053 0.281 0.884
Li3 0.697 0.046 0.933
Li4 0.294 0.395 0.126
Li5 0.706 0.605 0.874
Li6 0.794 0.605 0.374
Li7 0.197 0.954 0.567
Li8 0.553 0.719 0.616
Li9 0.947 0.719 0.116
Li10 0.447 0.281 0.384
Li11 0.803 0.046 0.433
Li12 0.303 0.954 0.067
V1 0.873 0.090 0.674
V2 0.373 0.910 0.826
V3 0.627 0.090 0.174
V4 0.127 0.910 0.326